Entry 1:
# Na2HfZnP2SO12

A relaxed Na2HfZnP2SO12 crystal (PBE, the Materials Project database).

spin magnetization	0.0	μB/f.u.

Cell lengths 8.937, 8.929, 22.519 Å; angles 89.69, 90.00, 120.03 degrees
Positions (direct):
1 O 0.685 0.535 0.246
2 O 0.183 0.201 0.412
3 O 0.648 0.121 0.138
4 O 0.358 0.481 0.363
5 O 0.482 0.328 0.748
6 O 0.349 0.494 0.076
7 O 0.812 0.827 0.909
8 O 0.305 0.834 0.255
9 O 0.540 0.690 0.972
10 O 0.793 0.972 0.694
11 O 0.150 0.690 0.472
12 O 0.816 0.995 0.414
13 O 0.168 0.478 0.256
14 O 0.682 0.160 0.743
15 O 0.638 0.501 0.922
16 O 0.645 0.530 0.646
17 O 0.459 0.306 0.027
18 O 0.473 0.121 0.638
19 O 0.218 0.197 0.813
20 O 0.829 0.026 0.088
21 O 0.314 0.454 0.471
22 O 0.180 0.972 0.194
23 O 0.016 0.196 0.200
24 O 0.123 0.481 0.863
25 O 0.015 0.827 0.409
26 O 0.145 0.494 0.576
27 O 0.643 0.144 0.423
28 O 0.196 0.168 0.089
29 O 0.502 0.144 0.923
30 O 0.683 0.530 0.534
31 O 0.846 0.306 0.527
32 O 0.514 0.863 0.367
33 O 0.478 0.160 0.243
34 O 0.179 0.995 0.914
35 O 0.790 0.815 0.197
36 O 0.806 0.788 0.304
37 O 0.850 0.535 0.746
38 O 0.979 0.197 0.313
39 O 0.457 0.148 0.530
40 O 0.140 0.454 0.971
41 O 0.846 0.328 0.248
42 O 0.863 0.501 0.422
43 O 0.149 0.662 0.081
44 O 0.976 0.811 0.089
45 O 0.495 0.359 0.421
46 O 0.483 0.357 0.138
47 O 0.162 0.693 0.754
48 O 0.835 0.811 0.589
49 O 0.864 0.359 0.921
50 O 0.018 0.201 0.912
51 O 0.516 0.868 0.079
52 O 0.352 0.868 0.579
53 O 0.691 0.148 0.030
54 O 0.181 0.196 0.700
55 O 0.981 0.788 0.804
56 O 0.847 0.530 0.034
57 O 0.309 0.478 0.756
58 O 0.972 0.168 0.589
59 O 0.513 0.639 0.861
60 O 0.551 0.863 0.479
61 O 0.817 0.023 0.805
62 O 0.197 0.026 0.588
63 O 0.207 0.023 0.305
64 O 0.529 0.834 0.755
65 O 0.885 0.530 0.146
66 O 0.312 0.863 0.979
67 O 0.024 0.815 0.697
68 O 0.126 0.639 0.361
69 O 0.873 0.357 0.638
70 O 0.513 0.662 0.581
71 O 0.349 0.863 0.867
72 O 0.530 0.693 0.254
73 Zn 0.996 0.997 0.849
74 Zn 0.334 0.663 0.016
75 Zn 0.663 0.330 0.182
76 Zn 0.667 0.330 0.682
77 Zn 0.000 0.997 0.349
78 Zn 0.330 0.663 0.516
79 Hf 0.675 0.344 0.481
80 Hf 0.342 0.678 0.814
81 Hf 0.669 0.344 0.981
82 Hf 0.003 0.011 0.647
83 Hf 0.008 0.011 0.147
84 Hf 0.336 0.678 0.314
85 Na 0.660 0.963 0.575
86 Na 0.993 0.629 0.241
87 Na 0.330 0.635 0.157
88 Na 0.638 0.302 0.324
89 Na 0.303 0.963 0.075
90 Na 0.970 0.296 0.408
91 Na 0.997 0.968 0.491
92 Na 0.326 0.296 0.908
93 Na 0.305 0.635 0.657
94 Na 0.636 0.629 0.741
95 Na 0.972 0.968 0.991
96 Na 0.663 0.302 0.824
97 S 0.371 0.041 0.584
98 S 0.038 0.374 0.918
99 S 0.670 0.041 0.084
100 S 0.336 0.374 0.418
101 S 0.003 0.708 0.751
102 S 0.705 0.708 0.251
103 P 0.711 0.009 0.751
104 P 0.331 0.961 0.921
105 P 0.997 0.295 0.255
106 P 0.964 0.628 0.088
107 P 0.297 0.009 0.251
108 P 0.378 0.342 0.084
109 P 0.044 0.675 0.418
110 P 0.964 0.342 0.584
111 P 0.631 0.675 0.918
112 P 0.631 0.961 0.421
113 P 0.297 0.295 0.755
114 P 0.664 0.628 0.588

=====

Entry 2:
# NaHf2Zn2PS5O24

A relaxed NaHf2Zn2PS5O24 crystal (PBE, the Materials Project database).

spin magnetization	0.0	μB/f.u.

Cell lengths 8.792, 8.801, 22.787 Å; angles 90.08, 90.04, 119.95 degrees
Positions (direct):
1 Na 0.000 0.000 0.000
2 Na 0.007 0.008 0.504
3 Na 0.674 0.339 0.170
4 Hf 0.009 0.010 0.355
5 Hf 0.336 0.677 0.189
6 Hf 0.337 0.671 0.690
7 Hf 0.340 0.680 0.977
8 Hf 0.663 0.336 0.522
9 Hf 0.677 0.338 0.019
10 Zn 0.004 0.005 0.652
11 Zn 0.004 0.005 0.844
12 Zn 0.338 0.664 0.478
13 Zn 0.666 0.341 0.319
14 Zn 0.671 0.339 0.807
15 Zn 0.995 0.995 0.146
16 P 0.049 0.677 0.083
17 P 0.385 0.346 0.415
18 P 0.632 0.962 0.083
19 S 0.049 0.379 0.582
20 S 0.295 0.291 0.750
21 S 0.297 0.012 0.248
22 S 0.331 0.956 0.582
23 S 0.335 0.380 0.083
24 S 0.378 0.052 0.914
25 S 0.631 0.679 0.582
26 S 0.665 0.046 0.416
27 S 0.675 0.630 0.915
28 S 0.716 0.711 0.249
29 S 0.718 0.010 0.750
30 S 0.961 0.334 0.914
31 S 0.964 0.626 0.416
32 S 0.999 0.293 0.248
33 S 0.999 0.714 0.750
34 O 0.025 0.202 0.590
35 O 0.030 0.211 0.301
36 O 0.032 0.839 0.088
37 O 0.040 0.824 0.803
38 O 0.130 0.491 0.635
39 O 0.133 0.641 0.137
40 O 0.136 0.492 0.926
41 O 0.138 0.653 0.425
42 O 0.156 0.459 0.530
43 O 0.161 0.694 0.028
44 O 0.161 0.696 0.740
45 O 0.162 0.468 0.241
46 O 0.181 0.983 0.589
47 O 0.182 0.207 0.089
48 O 0.185 0.979 0.301
49 O 0.186 0.223 0.803
50 O 0.198 0.172 0.408
51 O 0.202 0.030 0.911
52 O 0.215 0.036 0.196
53 O 0.217 0.187 0.697
54 O 0.307 0.851 0.529
55 O 0.309 0.848 0.242
56 O 0.313 0.466 0.030
57 O 0.313 0.471 0.740
58 O 0.357 0.499 0.426
59 O 0.362 0.875 0.925
60 O 0.363 0.877 0.635
61 O 0.367 0.492 0.135
62 O 0.464 0.160 0.969
63 O 0.468 0.306 0.470
64 O 0.471 0.317 0.758
65 O 0.474 0.162 0.255
66 O 0.489 0.128 0.863
67 O 0.489 0.367 0.360
68 O 0.495 0.134 0.575
69 O 0.497 0.366 0.076
70 O 0.512 0.874 0.137
71 O 0.515 0.645 0.926
72 O 0.516 0.874 0.425
73 O 0.518 0.645 0.635
74 O 0.538 0.848 0.739
75 O 0.539 0.696 0.241
76 O 0.539 0.847 0.029
77 O 0.552 0.705 0.530
78 O 0.642 0.143 0.075
79 O 0.642 0.520 0.864
80 O 0.646 0.126 0.362
81 O 0.646 0.516 0.575
82 O 0.692 0.160 0.758
83 O 0.694 0.536 0.255
84 O 0.697 0.543 0.969
85 O 0.705 0.162 0.468
86 O 0.787 0.969 0.803
87 O 0.797 0.824 0.301
88 O 0.808 0.830 0.590
89 O 0.813 0.984 0.088
90 O 0.822 0.791 0.196
91 O 0.823 0.036 0.697
92 O 0.830 0.806 0.911
93 O 0.831 0.030 0.409
94 O 0.847 0.317 0.256
95 O 0.848 0.546 0.468
96 O 0.850 0.538 0.758
97 O 0.851 0.311 0.969
98 O 0.865 0.508 0.075
99 O 0.873 0.365 0.574
100 O 0.884 0.368 0.863
101 O 0.885 0.523 0.363
102 O 0.973 0.792 0.697
103 O 0.974 0.186 0.196
104 O 0.975 0.804 0.409
105 O 0.980 0.178 0.911

=====

Entry 3:
# Na4HfZn3P2S4O24

A relaxed Na4HfZn3P2S4O24 crystal (PBE, the Materials Project database).

spin magnetization	0.0	μB/f.u.

Cell lengths 8.865, 8.881, 22.596 Å; angles 89.79, 89.53, 60.07 degrees
Positions (direct):
1 Na 0.000 0.000 0.000
2 Na 0.001 0.629 0.252
3 Na 0.016 0.941 0.682
4 Na 0.333 0.962 0.088
5 Na 0.335 0.981 0.588
6 Na 0.343 0.271 0.003
7 Na 0.642 0.316 0.424
8 Na 0.654 0.683 0.674
9 Na 0.663 0.312 0.914
10 Na 0.689 0.610 0.345
11 Na 0.957 0.974 0.341
12 Na 0.994 0.641 0.758
13 Hf 0.652 0.306 0.571
14 Hf 0.655 0.313 0.072
15 Hf 0.986 0.648 0.905
16 Zn 0.321 0.966 0.939
17 Zn 0.321 0.978 0.239
18 Zn 0.324 0.981 0.748
19 Zn 0.335 0.967 0.444
20 Zn 0.646 0.309 0.269
21 Zn 0.666 0.284 0.778
22 Zn 0.974 0.647 0.602
23 Zn 0.984 0.642 0.102
24 Zn 0.989 0.629 0.416
25 P 0.027 0.978 0.840
26 P 0.279 0.644 0.010
27 P 0.653 0.011 0.675
28 P 0.687 0.644 0.507
29 P 0.690 0.932 0.011
30 P 0.991 0.349 0.009
31 S 0.031 0.267 0.341
32 S 0.279 0.347 0.508
33 S 0.320 0.680 0.341
34 S 0.322 0.271 0.842
35 S 0.355 0.309 0.175
36 S 0.359 0.599 0.675
37 S 0.615 0.977 0.340
38 S 0.617 0.676 0.839
39 S 0.656 0.606 0.178
40 S 0.948 0.309 0.674
41 S 0.953 0.009 0.176
42 S 0.992 0.936 0.507
43 O 0.005 0.446 0.345
44 O 0.009 0.809 0.846
45 O 0.014 0.833 0.561
46 O 0.024 0.426 0.064
47 O 0.111 0.158 0.394
48 O 0.111 0.996 0.897
49 O 0.117 0.146 0.677
50 O 0.124 0.000 0.178
51 O 0.132 0.186 0.286
52 O 0.133 0.949 0.782
53 O 0.143 0.963 0.501
54 O 0.148 0.164 0.002
55 O 0.159 0.448 0.847
56 O 0.160 0.664 0.348
57 O 0.167 0.677 0.065
58 O 0.177 0.431 0.562
59 O 0.183 0.621 0.667
60 O 0.184 0.464 0.170
61 O 0.195 0.607 0.955
62 O 0.210 0.452 0.454
63 O 0.290 0.789 0.287
64 O 0.295 0.194 0.789
65 O 0.299 0.173 0.503
66 O 0.303 0.801 0.001
67 O 0.344 0.171 0.897
68 O 0.346 0.773 0.676
69 O 0.348 0.145 0.178
70 O 0.351 0.760 0.393
71 O 0.440 0.329 0.228
72 O 0.443 0.496 0.728
73 O 0.460 0.327 0.514
74 O 0.460 0.471 0.016
75 O 0.466 0.290 0.121
76 O 0.473 0.298 0.837
77 O 0.473 0.509 0.621
78 O 0.481 0.505 0.334
79 O 0.491 0.989 0.679
80 O 0.493 0.776 0.179
81 O 0.504 0.805 0.503
82 O 0.505 0.970 0.000
83 O 0.511 0.003 0.394
84 O 0.513 0.762 0.892
85 O 0.535 0.947 0.287
86 O 0.548 0.777 0.784
87 O 0.633 0.125 0.619
88 O 0.636 0.501 0.834
89 O 0.637 0.508 0.126
90 O 0.641 0.131 0.334
91 O 0.671 0.475 0.515
92 O 0.675 0.505 0.233
93 O 0.680 0.117 0.016
94 O 0.688 0.095 0.728
95 O 0.769 0.828 0.066
96 O 0.770 0.665 0.564
97 O 0.794 0.611 0.449
98 O 0.794 0.818 0.345
99 O 0.796 0.657 0.846
100 O 0.812 0.621 0.171
101 O 0.813 0.850 0.956
102 O 0.821 0.828 0.668
103 O 0.826 0.327 0.015
104 O 0.829 0.113 0.513
105 O 0.837 0.342 0.727
106 O 0.844 0.139 0.838
107 O 0.850 0.093 0.231
108 O 0.850 0.286 0.336
109 O 0.857 0.287 0.621
110 O 0.858 0.122 0.123
111 O 0.960 0.465 0.954
112 O 0.963 0.860 0.452
113 O 0.968 0.464 0.666
114 O 0.968 0.838 0.171

=====

Entry 4:
# Na5Hf2Zn2P5SO24

A relaxed Na5Hf2Zn2P5SO24 crystal (PBE, the Materials Project database).

spin magnetization	0.0	μB/f.u.

Cell lengths 8.991, 8.997, 22.481 Å; angles 89.76, 89.96, 60.06 degrees
Positions (direct):
1 Na 0.000 0.000 0.000
2 Na 0.000 0.007 0.489
3 Na 0.005 0.629 0.749
4 Na 0.309 0.657 0.578
5 Na 0.316 0.343 0.664
6 Na 0.332 0.340 0.166
7 Na 0.366 0.005 0.756
8 Na 0.372 0.650 0.250
9 Na 0.628 0.385 0.756
10 Na 0.645 0.988 0.250
11 Na 0.648 0.678 0.835
12 Na 0.659 0.044 0.577
13 Na 0.662 0.677 0.335
14 Na 0.971 0.326 0.918
15 Na 0.987 0.376 0.249
16 Hf 0.001 0.007 0.149
17 Hf 0.009 0.008 0.649
18 Hf 0.341 0.338 0.322
19 Hf 0.344 0.332 0.023
20 Hf 0.657 0.677 0.987
21 Hf 0.666 0.673 0.483
22 Zn 0.000 0.994 0.354
23 Zn 0.012 0.009 0.855
24 Zn 0.336 0.340 0.517
25 Zn 0.340 0.339 0.824
26 Zn 0.668 0.670 0.181
27 Zn 0.670 0.663 0.680
28 P 0.000 0.711 0.254
29 P 0.292 0.006 0.256
30 P 0.295 0.711 0.755
31 P 0.330 0.640 0.423
32 P 0.336 0.044 0.917
33 P 0.370 0.671 0.090
34 P 0.378 0.968 0.589
35 P 0.633 0.336 0.917
36 P 0.636 0.042 0.423
37 P 0.666 0.377 0.589
38 P 0.670 0.964 0.089
39 P 0.712 0.297 0.256
40 P 0.963 0.378 0.087
41 P 0.963 0.669 0.590
42 P 0.999 0.305 0.756
43 S 0.038 0.635 0.919
44 S 0.040 0.337 0.422
45 S 0.711 0.004 0.754
46 O 0.017 0.190 0.415
47 O 0.017 0.807 0.917
48 O 0.019 0.183 0.703
49 O 0.034 0.797 0.199
50 O 0.107 0.533 0.864
51 O 0.123 0.361 0.366
52 O 0.144 0.320 0.474
53 O 0.145 0.355 0.077
54 O 0.146 0.519 0.582
55 O 0.149 0.541 0.971
56 O 0.167 0.314 0.757
57 O 0.169 0.529 0.260
58 O 0.172 0.031 0.919
59 O 0.176 0.038 0.199
60 O 0.177 0.819 0.416
61 O 0.184 0.800 0.697
62 O 0.191 0.835 0.092
63 O 0.200 0.974 0.592
64 O 0.204 0.827 0.808
65 O 0.209 0.976 0.310
66 O 0.306 0.175 0.260
67 O 0.309 0.532 0.757
68 O 0.312 0.555 0.480
69 O 0.317 0.166 0.969
70 O 0.348 0.513 0.079
71 O 0.352 0.524 0.367
72 O 0.355 0.146 0.580
73 O 0.362 0.117 0.858
74 O 0.466 0.693 0.036
75 O 0.470 0.843 0.536
76 O 0.471 0.642 0.148
77 O 0.475 0.694 0.750
78 O 0.475 0.852 0.248
79 O 0.480 0.891 0.647
80 O 0.498 0.864 0.927
81 O 0.503 0.646 0.425
82 O 0.510 0.146 0.079
83 O 0.510 0.352 0.582
84 O 0.518 0.134 0.367
85 O 0.528 0.311 0.261
86 O 0.528 0.327 0.970
87 O 0.532 0.368 0.859
88 O 0.539 0.163 0.755
89 O 0.548 0.142 0.480
90 O 0.637 0.478 0.647
91 O 0.641 0.894 0.148
92 O 0.649 0.861 0.426
93 O 0.658 0.498 0.926
94 O 0.681 0.480 0.247
95 O 0.688 0.849 0.036
96 O 0.689 0.852 0.750
97 O 0.692 0.471 0.535
98 O 0.794 0.180 0.200
99 O 0.797 0.022 0.699
100 O 0.812 0.025 0.416
101 O 0.813 0.177 0.918
102 O 0.818 0.982 0.806
103 O 0.825 0.215 0.310
104 O 0.829 0.193 0.593
105 O 0.832 0.983 0.091
106 O 0.840 0.486 0.749
107 O 0.840 0.699 0.537
108 O 0.846 0.681 0.246
109 O 0.850 0.470 0.032
110 O 0.866 0.645 0.928
111 O 0.868 0.500 0.425
112 O 0.887 0.650 0.649
113 O 0.889 0.479 0.145
114 O 0.966 0.822 0.309
115 O 0.967 0.229 0.813
116 O 0.973 0.841 0.593
117 O 0.980 0.198 0.091

=====

| no. | ΔE_f (eV/atom) |
| --- | --- |
| 1 | -2.64 |
| 2 | -2.36 |
| 3 | -2.30 |
| 4 | -2.73 |